## Nb2O2F3 (r2SCAN)

Data for an optimized crystal structure of Nb2O2F3.

```
Nb2O2F3
1.0
5.229 0.000 0.000
-0.001 5.768 0.000
-2.599 -2.297 6.132
Nb O F
4 4 6
direct
0.085 0.188 0.181
0.405 0.313 0.819
0.595 0.687 0.181
0.915 0.812 0.819
0.160 0.141 0.902
0.243 0.641 0.902
0.757 0.359 0.098
0.840 0.859 0.098
0.106 0.250 0.500
0.346 0.531 0.296
0.447 0.031 0.295
0.553 0.969 0.705
0.654 0.469 0.704
0.894 0.750 0.500
```

## Properties
* ΔE_f: -2.905 eV per atom
* DFT total energy: -13.02 eV/atom
* M_tot: 1.0 μB per formula unit



## NbSeOF7 (r2SCAN)

Data for an optimized crystal structure of NbSeOF7.

```
NbSeOF7
1.0
11.036 0.000 0.000
0.000 7.882 0.000
0.000 0.000 7.005
Nb Se O F
4 4 4 28
direct
0.150 0.250 0.201
0.350 0.750 0.701
0.650 0.250 0.299
0.850 0.750 0.799
0.003 0.750 0.246
0.497 0.250 0.746
0.503 0.750 0.254
0.997 0.250 0.754
0.014 0.250 0.987
0.486 0.750 0.487
0.514 0.250 0.513
0.986 0.750 0.013
0.013 0.250 0.370
0.099 0.091 0.697
0.099 0.409 0.697
0.138 0.006 0.193
0.138 0.494 0.193
0.233 0.750 0.894
0.239 0.750 0.493
0.261 0.250 0.993
0.267 0.250 0.394
0.362 0.506 0.693
0.362 0.994 0.693
0.401 0.591 0.197
0.401 0.909 0.197
0.487 0.750 0.870
0.513 0.250 0.130
0.599 0.091 0.803
0.599 0.409 0.803
0.638 0.006 0.307
0.638 0.494 0.307
0.733 0.750 0.606
0.739 0.750 0.007
0.761 0.250 0.507
0.767 0.250 0.106
0.862 0.506 0.807
0.862 0.994 0.807
0.901 0.591 0.303
0.901 0.909 0.303
0.987 0.750 0.630
```

## Properties
* ΔE_f: -2.475 eV per atom
* DFT total energy: -9.17 eV/atom
* M_tot: 0.0 μB per formula unit



## NbSn6OF15 (r2SCAN)

Data for an optimized crystal structure of NbSn6OF15.

```
NbSn6OF15
1.0
9.257 -3.905 0.000
9.257 3.905 0.000
-0.156 0.000 10.960
Nb Sn O F
2 12 2 30
direct
0.168 0.832 0.500
0.832 0.168 0.000
0.052 0.252 0.726
0.215 0.379 0.444
0.247 0.613 0.169
0.252 0.052 0.226
0.379 0.215 0.944
0.397 0.759 0.855
0.613 0.247 0.669
0.628 0.794 0.578
0.758 0.955 0.294
0.759 0.397 0.355
0.794 0.628 0.078
0.955 0.758 0.794
0.108 0.798 0.356
0.798 0.108 0.856
0.017 0.319 0.312
0.060 0.084 0.466
0.084 0.060 0.966
0.114 0.372 0.852
0.217 0.489 0.018
0.218 0.896 0.670
0.222 0.223 0.100
0.223 0.222 0.600
0.282 0.598 0.577
0.319 0.017 0.812
0.353 0.390 0.283
0.372 0.114 0.352
0.390 0.353 0.783
0.414 0.726 0.455
0.489 0.217 0.518
0.518 0.793 0.004
0.598 0.282 0.077
0.619 0.654 0.742
0.636 0.893 0.171
0.654 0.619 0.242
0.685 0.991 0.711
0.726 0.414 0.955
0.787 0.788 0.425
0.788 0.787 0.925
0.793 0.518 0.504
0.893 0.636 0.671
0.896 0.218 0.170
0.932 0.946 0.578
0.946 0.932 0.078
0.991 0.685 0.211
```

## Properties
* ΔE_f: -2.541 eV per atom
* DFT total energy: -12.37 eV/atom
* M_tot: 0.0 μB per formula unit



## NbVF6 (r2SCAN)

Data for an optimized crystal structure of NbVF6.

```
NbVF6
1.0
2.614 1.509 4.787
-2.614 1.509 4.787
0.000 -3.018 4.787
Nb V F
1 1 6
direct
0.000 0.000 0.000
0.500 0.500 0.500
0.134 0.369 0.749
0.251 0.866 0.631
0.369 0.749 0.134
0.631 0.251 0.866
0.749 0.134 0.369
0.866 0.631 0.251
```

## Properties
* ΔE_f: -3.098 eV per atom
* DFT total energy: -10.30 eV/atom
* M_tot: 4.0 μB per formula unit



## NdOF (r2SCAN)

Data for an optimized crystal structure of NdOF.

```
NdOF
1.0
1.981 1.144 6.576
-1.981 1.144 6.576
0.000 -2.287 6.576
Nd O F
2 2 2
direct
0.242 0.242 0.242
0.758 0.758 0.758
0.122 0.122 0.122
0.878 0.878 0.878
0.370 0.370 0.370
0.630 0.630 0.630
```

## Properties
* ΔE_f: -4.114 eV per atom
* DFT total energy: -16.95 eV/atom
* M_tot: 0.0 μB per formula unit



## RbNdF4 (r2SCAN)

Data for an optimized crystal structure of RbNdF4.

```
RbNdF4
1.0
6.357 0.000 0.000
0.000 3.757 0.000
0.000 0.000 16.045
Rb Nd F
4 4 16
direct
0.226 0.250 0.201
0.274 0.750 0.701
0.726 0.250 0.299
0.774 0.750 0.799
0.249 0.750 0.443
0.251 0.250 0.943
0.749 0.750 0.057
0.751 0.250 0.557
0.000 0.250 0.055
0.000 0.750 0.945
0.096 0.250 0.814
0.110 0.250 0.371
0.133 0.250 0.537
0.367 0.750 0.037
0.390 0.750 0.871
0.404 0.750 0.314
0.500 0.250 0.445
0.500 0.750 0.555
0.596 0.250 0.686
0.610 0.250 0.129
0.633 0.250 0.963
0.867 0.750 0.463
0.890 0.750 0.629
0.904 0.750 0.186
```

## Properties
* ΔE_f: -3.967 eV per atom
* DFT total energy: -13.28 eV/atom
* M_tot: 0.0 μB per formula unit